# 1
Density functional theory data (PBE) for Si2N2O after structural relaxation.

```
Si2N2O
1.0
5.4928 0.0000 0.0000
-2.7464 4.7569 0.0000
0.0000 0.0000 13.4786
Si N O
16 16 8
Direct
0.0000 0.0000 0.0000
0.0000 0.0000 0.3710
0.0000 0.0000 0.6290
0.0000 0.5000 0.5000
0.1684 0.3368 0.1652
0.1684 0.8316 0.1652
0.3333 0.6667 0.3301
0.3333 0.6667 0.9552
0.3368 0.1684 0.8348
0.5000 0.0000 0.5000
0.5000 0.5000 0.5000
0.6632 0.8316 0.1652
0.6667 0.3333 0.0448
0.6667 0.3333 0.6699
0.8316 0.1684 0.8348
0.8316 0.6632 0.8348
0.0000 0.0000 0.2406
0.0000 0.0000 0.7594
0.1571 0.3141 0.9127
0.1571 0.8429 0.9127
0.1761 0.3523 0.4159
0.1761 0.8239 0.4159
0.3141 0.1571 0.0873
0.3333 0.6667 0.0866
0.3523 0.1761 0.5841
0.6477 0.8239 0.4159
0.6667 0.3333 0.9134
0.6859 0.8429 0.9127
0.8239 0.1761 0.5841
0.8239 0.6477 0.5841
0.8429 0.1571 0.0873
0.8429 0.6859 0.0873
0.0428 0.5214 0.2423
0.3333 0.6667 0.5632
0.4786 0.5214 0.2423
0.4786 0.9572 0.2423
0.5214 0.0428 0.7577
0.5214 0.4786 0.7577
0.6667 0.3333 0.4368
0.9572 0.4786 0.7577
```

Results
DFT total energy = -7.9395 eV/atom

---

# 2
Density functional theory data (PBE) for ZrBeO3 after structural relaxation.

```
ZrBeO3
1.0
4.1162 0.0000 0.0000
0.0000 4.1162 0.0000
0.0000 0.0000 4.1162
Zr Be O
1 1 3
Direct
0.0000 0.0000 0.0000
0.5000 0.5000 0.5000
0.0000 0.0000 0.5000
0.0000 0.5000 0.0000
0.5000 0.0000 0.0000
```

Results
DFT total energy = -6.9128 eV/atom